1.
Computed, not measured: a relaxed structure of Ba3Ti20O40 at the PBE level of DFT.

Output
SG ... C2/m (12)

Unit cell a=10.342 b=10.342 c=10.135 alpha=61.29 beta=61.29 gamma=92.27
Atoms (fractional coordinates):
Ba (0.366, 0.634, 0.000)
Ba (0.634, 0.366, 0.000)
Ba (0.000, 0.000, 0.000)
Ti (0.263, 0.066, 0.183)
Ti (0.066, 0.263, 0.183)
Ti (0.153, 0.153, 0.509)
Ti (0.655, 0.058, 0.469)
Ti (0.058, 0.655, 0.469)
Ti (0.659, 0.659, 0.182)
Ti (0.449, 0.252, 0.483)
Ti (0.252, 0.449, 0.483)
Ti (0.873, 0.471, 0.181)
Ti (0.471, 0.873, 0.181)
Ti (0.529, 0.127, 0.819)
Ti (0.127, 0.529, 0.819)
Ti (0.748, 0.551, 0.517)
Ti (0.551, 0.748, 0.517)
Ti (0.341, 0.341, 0.818)
Ti (0.942, 0.345, 0.531)
Ti (0.345, 0.942, 0.531)
Ti (0.847, 0.847, 0.491)
Ti (0.934, 0.737, 0.817)
Ti (0.737, 0.934, 0.817)
O (0.038, 0.038, 0.282)
O (0.097, 0.498, 0.051)
O (0.498, 0.097, 0.051)
O (0.302, 0.302, 0.051)
O (0.058, 0.260, 0.381)
O (0.260, 0.058, 0.381)
O (0.345, 0.345, 0.348)
O (0.541, 0.141, 0.356)
O (0.141, 0.541, 0.356)
O (0.061, 0.257, 0.643)
O (0.257, 0.061, 0.643)
O (0.439, 0.643, 0.280)
O (0.643, 0.439, 0.280)
O (0.841, 0.243, 0.285)
O (0.243, 0.841, 0.285)
O (0.894, 0.698, 0.052)
O (0.698, 0.894, 0.052)
O (0.143, 0.544, 0.615)
O (0.544, 0.143, 0.615)
O (0.343, 0.343, 0.621)
O (0.657, 0.657, 0.379)
O (0.456, 0.857, 0.385)
O (0.857, 0.456, 0.385)
O (0.302, 0.106, 0.948)
O (0.106, 0.302, 0.948)
O (0.757, 0.159, 0.715)
O (0.159, 0.757, 0.715)
O (0.561, 0.357, 0.720)
O (0.357, 0.561, 0.720)
O (0.743, 0.939, 0.357)
O (0.939, 0.743, 0.357)
O (0.859, 0.459, 0.644)
O (0.459, 0.859, 0.644)
O (0.655, 0.655, 0.652)
O (0.740, 0.942, 0.619)
O (0.942, 0.740, 0.619)
O (0.698, 0.698, 0.949)
O (0.502, 0.903, 0.949)
O (0.903, 0.502, 0.949)
O (0.962, 0.962, 0.718)

2.
Computed, not measured: a relaxed structure of Ba4Ti3O10 at the PBE level of DFT.

Output
SG ... Fmm2 (42)
E above lowest polymorph ... 0 kJ/mol of formula units

Unit cell a=14.973 b=14.970 c=4.096 alpha=82.17 beta=82.10 gamma=15.73
Atoms (fractional coordinates):
Ba (0.925, 0.940, 0.060)
Ba (0.793, 0.804, 0.196)
Ba (0.060, 0.075, 0.925)
Ba (0.196, 0.207, 0.793)
Ti (0.476, 0.524, 0.476)
Ti (0.615, 0.660, 0.340)
Ti (0.340, 0.385, 0.615)
O (0.306, 0.287, 0.713)
O (0.577, 0.559, 0.441)
O (0.505, 0.495, 0.022)
O (0.022, 0.978, 0.505)
O (0.639, 0.635, 0.882)
O (0.156, 0.118, 0.365)
O (0.365, 0.361, 0.156)
O (0.882, 0.844, 0.639)
O (0.713, 0.694, 0.306)
O (0.441, 0.423, 0.577)

3.
Computed, not measured: a relaxed structure of Ba2Ti6O13 at the PBE level of DFT.

Output
SG ... C2/m (12)

Unit cell a=7.817 b=7.817 c=9.186 alpha=82.16 beta=82.16 gamma=29.55
Atoms (fractional coordinates):
Ba (0.051, 0.051, 0.221)
Ba (0.949, 0.949, 0.779)
Ti (0.669, 0.669, 0.556)
Ti (0.331, 0.331, 0.444)
Ti (0.252, 0.252, 0.777)
Ti (0.748, 0.748, 0.223)
Ti (0.622, 0.622, 0.901)
Ti (0.378, 0.378, 0.099)
O (0.500, 0.500, 0.000)
O (0.428, 0.428, 0.303)
O (0.572, 0.572, 0.697)
O (0.369, 0.369, 0.621)
O (0.631, 0.631, 0.379)
O (0.327, 0.327, 0.919)
O (0.673, 0.673, 0.081)
O (0.199, 0.199, 0.569)
O (0.874, 0.874, 0.112)
O (0.126, 0.126, 0.888)
O (0.258, 0.258, 0.244)
O (0.742, 0.742, 0.756)
O (0.801, 0.801, 0.431)

4.
Computed, not measured: a relaxed structure of Ba2Ti3O8 at the PBE level of DFT.

Output
SG ... P4/mmm (123)

Unit cell a=3.949 b=3.949 c=11.945 alpha=90.00 beta=90.00 gamma=90.00
Atoms (fractional coordinates):
Ba (0.500, 0.500, 0.180)
Ba (0.500, 0.500, 0.820)
Ti (0.000, 0.000, 0.334)
Ti (0.000, 0.000, 0.000)
Ti (0.000, 0.000, 0.666)
O (0.000, 0.500, 0.346)
O (0.500, 0.000, 0.346)
O (0.500, 0.000, 0.000)
O (0.000, 0.000, 0.174)
O (0.000, 0.500, 0.654)
O (0.500, 0.000, 0.654)
O (0.000, 0.000, 0.826)
O (0.000, 0.500, 0.000)

5.
Computed, not measured: a relaxed structure of Ba2Ti13O22 at the PBE level of DFT.

Output
SG ... Cmce (64)

Unit cell a=7.727 b=7.727 c=14.229 alpha=90.00 beta=90.00 gamma=98.58
Atoms (fractional coordinates):
Ba (0.667, 0.667, 0.912)
Ba (0.833, 0.833, 0.412)
Ba (0.167, 0.167, 0.588)
Ba (0.333, 0.333, 0.088)
Ti (0.298, 0.558, 0.326)
Ti (0.202, 0.942, 0.826)
Ti (0.058, 0.798, 0.174)
Ti (0.442, 0.702, 0.674)
Ti (0.702, 0.442, 0.674)
Ti (0.798, 0.058, 0.174)
Ti (0.942, 0.202, 0.826)
Ti (0.558, 0.298, 0.326)
Ti (0.756, 0.244, 0.500)
Ti (0.744, 0.256, 0.000)
Ti (0.244, 0.756, 0.500)
Ti (0.256, 0.744, 0.000)
Ti (0.922, 0.426, 0.153)
Ti (0.578, 0.074, 0.653)
Ti (0.926, 0.422, 0.347)
Ti (0.574, 0.078, 0.847)
Ti (0.078, 0.574, 0.847)
Ti (0.422, 0.926, 0.347)
Ti (0.074, 0.578, 0.653)
Ti (0.426, 0.922, 0.153)
Ti (0.500, 0.500, 0.500)
Ti (0.000, 0.000, 0.000)
Ti (0.833, 0.833, 0.667)
Ti (0.667, 0.667, 0.167)
Ti (0.333, 0.333, 0.833)
Ti (0.167, 0.167, 0.333)
O (0.972, 0.213, 0.420)
O (0.528, 0.287, 0.920)
O (0.713, 0.472, 0.080)
O (0.787, 0.028, 0.580)
O (0.028, 0.787, 0.580)
O (0.472, 0.713, 0.080)
O (0.287, 0.528, 0.920)
O (0.213, 0.972, 0.420)
O (0.125, 0.382, 0.252)
O (0.375, 0.118, 0.752)
O (0.882, 0.625, 0.248)
O (0.618, 0.875, 0.748)
O (0.875, 0.618, 0.748)
O (0.625, 0.882, 0.248)
O (0.118, 0.375, 0.752)
O (0.382, 0.125, 0.252)
O (0.658, 0.658, 0.594)
O (0.842, 0.842, 0.094)
O (0.158, 0.158, 0.906)
O (0.342, 0.342, 0.406)
O (0.964, 0.213, 0.080)
O (0.536, 0.287, 0.580)
O (0.713, 0.464, 0.420)
O (0.787, 0.036, 0.920)
O (0.036, 0.787, 0.920)
O (0.464, 0.713, 0.420)
O (0.287, 0.536, 0.580)
O (0.213, 0.964, 0.080)
O (0.771, 0.271, 0.250)
O (0.729, 0.229, 0.750)
O (0.598, 0.099, 0.410)
O (0.902, 0.401, 0.910)
O (0.599, 0.098, 0.090)
O (0.901, 0.402, 0.590)
O (0.402, 0.901, 0.590)
O (0.098, 0.599, 0.090)
O (0.401, 0.902, 0.910)
O (0.099, 0.598, 0.410)
O (0.004, 0.004, 0.252)
O (0.496, 0.496, 0.752)
O (0.504, 0.504, 0.248)
O (0.996, 0.996, 0.748)
O (0.271, 0.771, 0.250)
O (0.229, 0.729, 0.750)

6.
Computed, not measured: a relaxed structure of Ba4Ti11O26 at the PBE level of DFT.

Output
SG ... P1 (1)
E above lowest polymorph ... 42 kJ/mol of formula units

Unit cell a=7.846 b=7.978 c=10.039 alpha=91.87 beta=112.98 gamma=104.19
Atoms (fractional coordinates):
Ba (0.917, 0.091, 0.772)
Ba (0.402, 0.095, 0.772)
Ba (0.088, 0.894, 0.210)
Ba (0.569, 0.894, 0.210)
Ti (0.357, 0.237, 0.095)
Ti (0.857, 0.240, 0.097)
Ti (0.054, 0.335, 0.443)
Ti (0.559, 0.337, 0.446)
Ti (0.255, 0.498, 0.782)
Ti (0.775, 0.495, 0.782)
Ti (0.246, 0.521, 0.229)
Ti (0.746, 0.526, 0.235)
Ti (0.952, 0.666, 0.569)
Ti (0.444, 0.656, 0.563)
Ti (0.639, 0.757, 0.900)
O (0.260, 0.022, 0.007)
O (0.751, 0.002, 0.000)
O (0.936, 0.146, 0.294)
O (0.436, 0.150, 0.300)
O (0.124, 0.260, 0.617)
O (0.623, 0.258, 0.619)
O (0.291, 0.344, 0.914)
O (0.795, 0.338, 0.916)
O (0.124, 0.275, 0.114)
O (0.628, 0.275, 0.114)
O (0.319, 0.403, 0.436)
O (0.812, 0.397, 0.425)
O (0.995, 0.505, 0.738)
O (0.508, 0.520, 0.757)
O (0.988, 0.475, 0.241)
O (0.497, 0.485, 0.248)
O (0.187, 0.597, 0.574)
O (0.686, 0.596, 0.575)
O (0.385, 0.719, 0.887)
O (0.861, 0.716, 0.887)
O (0.710, 0.664, 0.088)
O (0.217, 0.662, 0.103)
O (0.377, 0.738, 0.388)
O (0.872, 0.727, 0.376)
O (0.565, 0.852, 0.704)
O (0.052, 0.875, 0.665)

7.
Computed, not measured: a relaxed structure of Ba4Ti11O26 at the PBE level of DFT.

Output
SG ... P1 (1)
E above lowest polymorph ... 0 kJ/mol of formula units

Unit cell a=7.858 b=7.920 c=10.046 alpha=76.16 beta=67.00 gamma=75.70
Atoms (fractional coordinates):
Ba (0.861, 0.093, 0.231)
Ba (0.365, 0.096, 0.222)
Ba (0.143, 0.878, 0.763)
Ba (0.653, 0.886, 0.765)
Ti (0.374, 0.345, 0.565)
Ti (0.888, 0.346, 0.567)
Ti (0.614, 0.663, 0.441)
Ti (0.109, 0.666, 0.449)
Ti (0.227, 0.251, 0.894)
Ti (0.753, 0.244, 0.900)
Ti (0.767, 0.760, 0.085)
Ti (0.262, 0.767, 0.093)
Ti (0.488, 0.507, 0.777)
Ti (0.017, 0.476, 0.230)
Ti (0.514, 0.478, 0.230)
O (0.263, 0.465, 0.758)
O (0.745, 0.466, 0.758)
O (0.748, 0.527, 0.242)
O (0.255, 0.511, 0.234)
O (0.614, 0.400, 0.572)
O (0.122, 0.402, 0.554)
O (0.385, 0.600, 0.431)
O (0.884, 0.600, 0.431)
O (0.506, 0.734, 0.621)
O (0.007, 0.793, 0.588)
O (0.498, 0.267, 0.382)
O (0.986, 0.269, 0.382)
O (0.379, 0.660, 0.913)
O (0.868, 0.692, 0.917)
O (0.628, 0.344, 0.086)
O (0.116, 0.339, 0.087)
O (0.483, 0.271, 0.896)
O (0.989, 0.227, 0.910)
O (0.507, 0.724, 0.119)
O (0.012, 0.728, 0.116)
O (0.628, 0.863, 0.311)
O (0.145, 0.849, 0.286)
O (0.355, 0.145, 0.705)
O (0.866, 0.146, 0.706)
O (0.728, 0.008, 0.011)
O (0.263, 0.996, 0.000)

8.
Computed, not measured: a relaxed structure of Ba6Ti17O40 at the PBE level of DFT.

Output
SG ... C2/c (15)

Unit cell a=9.993 b=9.993 c=19.216 alpha=85.53 beta=85.53 gamma=119.73
Atoms (fractional coordinates):
Ba (0.431, 0.863, 0.315)
Ba (0.560, 0.711, 0.823)
Ba (0.979, 0.163, 0.556)
Ba (0.863, 0.431, 0.815)
Ba (0.569, 0.137, 0.685)
Ba (0.289, 0.440, 0.677)
Ba (0.163, 0.979, 0.056)
Ba (0.021, 0.837, 0.444)
Ba (0.137, 0.569, 0.185)
Ba (0.440, 0.289, 0.177)
Ba (0.837, 0.021, 0.944)
Ba (0.711, 0.560, 0.323)
Ti (0.350, 0.708, 0.997)
Ti (0.130, 0.818, 0.623)
Ti (0.708, 0.350, 0.497)
Ti (0.768, 0.620, 0.628)
Ti (0.164, 0.325, 0.013)
Ti (0.373, 0.175, 0.360)
Ti (0.232, 0.380, 0.372)
Ti (0.818, 0.130, 0.123)
Ti (0.836, 0.675, 0.987)
Ti (0.675, 0.836, 0.487)
Ti (0.627, 0.825, 0.640)
Ti (0.620, 0.768, 0.128)
Ti (0.060, 0.940, 0.750)
Ti (0.253, 0.747, 0.750)
Ti (0.536, 0.044, 0.873)
Ti (0.292, 0.650, 0.503)
Ti (0.940, 0.060, 0.250)
Ti (0.000, 0.500, 0.000)
Ti (0.650, 0.292, 0.003)
Ti (0.182, 0.870, 0.877)
Ti (0.106, 0.894, 0.250)
Ti (0.500, 0.000, 0.500)
Ti (0.500, 0.500, 0.500)
Ti (0.464, 0.956, 0.127)
Ti (0.175, 0.373, 0.860)
Ti (0.825, 0.627, 0.140)
Ti (0.956, 0.464, 0.627)
Ti (0.747, 0.253, 0.250)
Ti (0.894, 0.106, 0.750)
Ti (0.044, 0.536, 0.373)
Ti (0.500, 0.500, 0.000)
Ti (0.380, 0.232, 0.872)
Ti (0.870, 0.182, 0.377)
Ti (0.325, 0.164, 0.513)
O (0.970, 0.656, 0.575)
O (0.779, 0.464, 0.684)
O (0.672, 0.185, 0.930)
O (0.937, 0.298, 0.691)
O (0.697, 0.184, 0.449)
O (0.349, 0.510, 0.440)
O (0.082, 0.120, 0.701)
O (0.816, 0.303, 0.051)
O (0.357, 0.531, 0.948)
O (0.815, 0.328, 0.570)
O (0.239, 0.014, 0.319)
O (0.151, 0.987, 0.558)
O (0.782, 0.441, 0.196)
O (0.116, 0.628, 0.682)
O (0.303, 0.816, 0.551)
O (0.372, 0.884, 0.818)
O (0.929, 0.253, 0.192)
O (0.138, 0.488, 0.567)
O (0.747, 0.071, 0.308)
O (0.328, 0.815, 0.070)
O (0.361, 0.384, 0.815)
O (0.918, 0.880, 0.299)
O (0.616, 0.639, 0.685)
O (0.683, 0.676, 0.941)
O (0.253, 0.929, 0.692)
O (0.043, 0.376, 0.939)
O (0.298, 0.937, 0.191)
O (0.812, 0.779, 0.067)
O (0.986, 0.761, 0.181)
O (0.120, 0.082, 0.201)
O (0.862, 0.512, 0.433)
O (0.376, 0.043, 0.439)
O (0.221, 0.536, 0.316)
O (0.221, 0.188, 0.433)
O (0.202, 0.044, 0.820)
O (0.884, 0.372, 0.318)
O (0.536, 0.221, 0.816)
O (0.491, 0.151, 0.555)
O (0.151, 0.491, 0.055)
O (0.188, 0.221, 0.933)
O (0.014, 0.239, 0.819)
O (0.317, 0.324, 0.059)
O (0.063, 0.702, 0.309)
O (0.702, 0.063, 0.809)
O (0.656, 0.970, 0.075)
O (0.344, 0.030, 0.925)
O (0.509, 0.849, 0.445)
O (0.643, 0.469, 0.052)
O (0.798, 0.956, 0.180)
O (0.488, 0.138, 0.067)
O (0.464, 0.779, 0.184)
O (0.218, 0.559, 0.804)
O (0.030, 0.344, 0.425)
O (0.651, 0.490, 0.560)
O (0.490, 0.651, 0.060)
O (0.013, 0.849, 0.942)
O (0.849, 0.013, 0.442)
O (0.441, 0.782, 0.696)
O (0.324, 0.317, 0.559)
O (0.531, 0.357, 0.448)
O (0.987, 0.151, 0.058)
O (0.957, 0.624, 0.061)
O (0.761, 0.986, 0.681)
O (0.624, 0.957, 0.561)
O (0.779, 0.812, 0.567)
O (0.469, 0.643, 0.552)
O (0.071, 0.747, 0.808)
O (0.510, 0.349, 0.940)
O (0.184, 0.697, 0.949)
O (0.956, 0.798, 0.680)
O (0.559, 0.218, 0.304)
O (0.676, 0.683, 0.441)
O (0.512, 0.862, 0.933)
O (0.185, 0.672, 0.430)
O (0.628, 0.116, 0.182)
O (0.384, 0.361, 0.315)
O (0.849, 0.509, 0.945)
O (0.880, 0.918, 0.799)
O (0.639, 0.616, 0.185)
O (0.044, 0.202, 0.320)

Results for E_form: -3480, -3432, -3489, -3308, -3366, -3496, -3506, -3519 (in meV per atom, following the order of the records).
Results for theoretical density: 4.3, 5.7, 4.7, 4.9, 4.9, 4.5, 4.5, 4.6 (in Mg/m³, following the order of the records).
Results for uncorrected energy: -8.784, -7.783, -8.566, -8.048, -8.778, -8.503, -8.514, -8.537 (in eV/atom, following the order of the records).